No. 1
DFT (meta-GGA r2SCAN) results for KSbF4 after structural relaxation.

Values from the calculation:
Formation energy from the elements ... -2.741 eV per atom
Mass density ... 3.77 g/cm³
Magnetic moment ... 0.00 μB/f.u.
Space group ... No. 59

```
KSbF4
1.0
4.500 0.000 0.000
0.000 11.517 0.000
0.000 0.000 16.102
K Sb F
8 8 32
direct
0.600 0.000 0.617 K
0.600 0.000 0.383 K
0.400 0.500 0.883 K
0.400 0.500 0.117 K
0.000 0.250 0.750 K
0.000 0.750 0.250 K
0.000 0.750 0.750 K
0.000 0.250 0.250 K
0.437 0.000 0.847 Sb
0.437 0.000 0.153 Sb
0.563 0.500 0.653 Sb
0.563 0.500 0.347 Sb
0.952 0.249 0.000 Sb
0.952 0.751 0.000 Sb
0.048 0.749 0.500 Sb
0.048 0.251 0.500 Sb
0.340 0.328 0.000 F
0.340 0.672 0.000 F
0.660 0.828 0.500 F
0.660 0.172 0.500 F
0.049 0.000 0.792 F
0.049 0.000 0.208 F
0.951 0.500 0.708 F
0.951 0.500 0.292 F
0.799 0.347 0.597 F
0.799 0.653 0.403 F
0.201 0.847 0.903 F
0.201 0.153 0.097 F
0.201 0.153 0.903 F
0.201 0.847 0.097 F
0.799 0.653 0.597 F
0.799 0.347 0.403 F
0.480 0.382 0.258 F
0.480 0.618 0.742 F
0.520 0.882 0.242 F
0.520 0.118 0.758 F
0.520 0.118 0.242 F
0.520 0.882 0.758 F
0.480 0.618 0.258 F
0.480 0.382 0.742 F
0.111 0.134 0.408 F
0.111 0.866 0.592 F
0.889 0.634 0.092 F
0.889 0.366 0.908 F
0.889 0.366 0.092 F
0.889 0.634 0.908 F
0.111 0.866 0.408 F
0.111 0.134 0.592 F
```

***

No. 2
DFT (meta-GGA r2SCAN) results for K3ScF6 after structural relaxation.

Values from the calculation:
Formation energy from the elements ... -3.492 eV per atom
Mass density ... 2.56 g/cm³
Magnetic moment ... 0.00 μB/f.u.
Space group ... No. 225

```
K3ScF6
1.0
0.000 4.477 4.477
4.477 0.000 4.477
4.477 4.477 0.000
K Sc F
3 1 6
direct
0.750 0.750 0.750 K
0.250 0.250 0.250 K
0.500 0.500 0.500 K
0.000 0.000 0.000 Sc
0.775 0.225 0.225 F
0.225 0.225 0.775 F
0.225 0.775 0.775 F
0.225 0.775 0.225 F
0.775 0.225 0.775 F
0.775 0.775 0.225 F
```

***

No. 3
DFT (meta-GGA r2SCAN) results for K5Sc3F14 after structural relaxation.

Values from the calculation:
Formation energy from the elements ... -3.722 eV per atom
Mass density ... 2.77 g/cm³
Magnetic moment ... 0.00 μB/f.u.
Space group ... No. 128

```
K5Sc3F14
1.0
7.765 0.000 0.000
0.000 7.765 0.000
0.000 0.000 11.880
K Sc F
10 6 28
direct
0.000 0.000 0.500 K
0.500 0.500 0.000 K
0.214 0.714 0.250 K
0.786 0.286 0.750 K
0.786 0.286 0.250 K
0.286 0.214 0.250 K
0.214 0.714 0.750 K
0.714 0.786 0.750 K
0.714 0.786 0.250 K
0.286 0.214 0.750 K
0.000 0.000 0.000 Sc
0.500 0.500 0.500 Sc
0.000 0.500 0.000 Sc
0.500 0.000 0.000 Sc
0.500 0.000 0.500 Sc
0.000 0.500 0.500 Sc
0.248 0.083 0.000 F
0.752 0.917 0.000 F
0.917 0.248 0.000 F
0.252 0.583 0.500 F
0.083 0.752 0.000 F
0.748 0.417 0.500 F
0.583 0.748 0.500 F
0.417 0.252 0.500 F
0.000 0.000 0.169 F
0.000 0.000 0.831 F
0.500 0.500 0.331 F
0.500 0.500 0.669 F
0.048 0.321 0.382 F
0.952 0.679 0.618 F
0.952 0.679 0.382 F
0.679 0.048 0.382 F
0.452 0.821 0.118 F
0.048 0.321 0.618 F
0.321 0.952 0.618 F
0.548 0.179 0.882 F
0.321 0.952 0.382 F
0.548 0.179 0.118 F
0.679 0.048 0.618 F
0.452 0.821 0.882 F
0.821 0.548 0.118 F
0.179 0.452 0.882 F
0.179 0.452 0.118 F
0.821 0.548 0.882 F
```

***

No. 4
DFT (meta-GGA r2SCAN) results for KScF4 after structural relaxation.

Values from the calculation:
Formation energy from the elements ... -3.859 eV per atom
Mass density ... 2.65 g/cm³
Magnetic moment ... 0.00 μB/f.u.
Space group ... No. 12

```
KScF4
1.0
0.106 -2.229 7.705
4.042 -1.917 6.658
1.080 11.062 7.364
K Sc F
4 4 16
direct
0.244 0.244 0.865 K
0.756 0.756 0.135 K
0.638 0.638 0.636 K
0.362 0.362 0.364 K
0.878 0.878 0.614 Sc
0.122 0.122 0.386 Sc
0.973 0.973 0.860 Sc
0.027 0.027 0.140 Sc
0.000 0.000 0.500 F
0.000 0.000 0.000 F
0.955 0.955 0.715 F
0.045 0.045 0.285 F
0.472 0.472 0.856 F
0.528 0.528 0.144 F
0.765 0.765 0.734 F
0.235 0.235 0.266 F
0.895 0.895 0.218 F
0.105 0.105 0.782 F
0.619 0.619 0.382 F
0.381 0.381 0.618 F
0.180 0.180 0.496 F
0.820 0.820 0.504 F
0.161 0.161 0.071 F
0.839 0.839 0.929 F
```

***

No. 5
DFT (meta-GGA r2SCAN) results for KSmF4 after structural relaxation.

Values from the calculation:
Formation energy from the elements ... -4.006 eV per atom
Mass density ... 5.05 g/cm³
Magnetic moment ... 0.00 μB/f.u.
Space group ... No. 62

```
KSmF4
1.0
3.675 0.000 0.000
0.000 6.152 0.000
0.000 0.000 15.432
K Sm F
4 4 16
direct
0.750 0.723 0.797 K
0.250 0.277 0.203 K
0.750 0.223 0.703 K
0.250 0.777 0.297 K
0.250 0.749 0.560 Sm
0.750 0.251 0.440 Sm
0.250 0.249 0.940 Sm
0.750 0.751 0.060 Sm
0.250 0.909 0.692 F
0.750 0.091 0.308 F
0.250 0.409 0.808 F
0.750 0.591 0.192 F
0.750 0.604 0.633 F
0.250 0.396 0.367 F
0.750 0.104 0.867 F
0.250 0.896 0.133 F
0.750 0.636 0.463 F
0.250 0.364 0.537 F
0.750 0.136 0.037 F
0.250 0.864 0.963 F
0.250 0.495 0.058 F
0.750 0.505 0.942 F
0.250 0.995 0.442 F
0.750 0.005 0.558 F
```

***

No. 6
DFT (meta-GGA r2SCAN) results for K2SmF5 after structural relaxation.

Values from the calculation:
Formation energy from the elements ... -3.725 eV per atom
Mass density ... 4.10 g/cm³
Magnetic moment ... 0.00 μB/f.u.
Space group ... No. 62

```
K2SmF5
1.0
6.596 0.000 0.000
0.000 7.401 0.000
0.000 0.000 10.743
K Sm F
8 4 20
direct
0.531 0.998 0.828 K
0.469 0.498 0.172 K
0.969 0.998 0.328 K
0.031 0.498 0.672 K
0.531 0.502 0.828 K
0.469 0.002 0.172 K
0.969 0.502 0.328 K
0.031 0.002 0.672 K
0.567 0.250 0.504 Sm
0.433 0.750 0.496 Sm
0.933 0.250 0.004 Sm
0.067 0.750 0.996 Sm
0.861 0.750 0.829 F
0.139 0.250 0.171 F
0.639 0.750 0.329 F
0.361 0.250 0.671 F
0.830 0.250 0.801 F
0.170 0.750 0.199 F
0.670 0.250 0.301 F
0.330 0.750 0.699 F
0.648 0.966 0.581 F
0.352 0.466 0.419 F
0.852 0.966 0.081 F
0.148 0.466 0.919 F
0.407 0.750 0.989 F
0.593 0.250 0.011 F
0.093 0.750 0.489 F
0.907 0.250 0.511 F
0.148 0.034 0.919 F
0.852 0.534 0.081 F
0.352 0.034 0.419 F
0.648 0.534 0.581 F
```

***

No. 7
DFT (meta-GGA r2SCAN) results for K3TbF6 after structural relaxation.

Values from the calculation:
Formation energy from the elements ... -3.564 eV per atom
Mass density ... 3.50 g/cm³
Magnetic moment ... 0.00 μB/f.u.
Space group ... No. 14

```
K3TbF6
1.0
-3.864 0.610 -5.290
4.577 -2.337 -3.613
1.270 -10.526 -2.142
K Tb F
6 2 12
direct
0.500 0.500 0.000 K
0.000 0.500 0.500 K
0.059 0.724 0.756 K
0.941 0.276 0.244 K
0.559 0.276 0.744 K
0.441 0.724 0.256 K
0.500 0.000 0.500 Tb
0.000 0.000 0.000 Tb
0.773 0.757 0.575 F
0.227 0.243 0.425 F
0.273 0.243 0.925 F
0.727 0.757 0.075 F
0.438 0.895 0.726 F
0.562 0.105 0.274 F
0.938 0.105 0.774 F
0.062 0.895 0.226 F
0.324 0.664 0.552 F
0.676 0.336 0.448 F
0.824 0.336 0.948 F
0.176 0.664 0.052 F
```

***

No. 8
DFT (meta-GGA r2SCAN) results for KTb3F10 after structural relaxation.

Values from the calculation:
Formation energy from the elements ... -4.305 eV per atom
Mass density ... 6.05 g/cm³
Magnetic moment ... 0.00 μB/f.u.
Space group ... No. 225

```
KTb3F10
1.0
2.316 5.722 5.375
-5.416 3.037 5.333
0.601 -1.856 7.949
K Tb F
2 6 20
direct
0.250 0.250 0.250 K
0.750 0.750 0.750 K
0.760 0.760 0.240 Tb
0.760 0.240 0.240 Tb
0.240 0.760 0.760 Tb
0.240 0.760 0.240 Tb
0.240 0.240 0.760 Tb
0.760 0.240 0.760 Tb
0.888 0.888 0.888 F
0.663 0.112 0.112 F
0.112 0.112 0.664 F
0.112 0.664 0.112 F
0.888 0.888 0.336 F
0.888 0.336 0.888 F
0.337 0.888 0.888 F
0.112 0.112 0.112 F
0.500 0.168 0.500 F
0.168 0.500 0.500 F
0.500 0.168 0.832 F
0.832 0.500 0.168 F
0.168 0.500 0.832 F
0.500 0.500 0.168 F
0.832 0.168 0.500 F
0.500 0.832 0.168 F
0.500 0.500 0.832 F
0.168 0.832 0.500 F
0.832 0.500 0.500 F
0.500 0.832 0.500 F
```

***

Question: Which formula does entry 4 have?
Answer: KScF4

***

Question: What is the formation energy from the elements in the eighth record?
Answer: -4.305 eV per atom

***

What did the fifth record say?
DFT (meta-GGA r2SCAN) results for KSmF4 after structural relaxation.

Values from the calculation:
Formation energy from the elements ... -4.006 eV per atom
Mass density ... 5.05 g/cm³
Magnetic moment ... 0.00 μB/f.u.
Space group ... No. 62

```
KSmF4
1.0
3.675 0.000 0.000
0.000 6.152 0.000
0.000 0.000 15.432
K Sm F
4 4 16
direct
0.750 0.723 0.797 K
0.250 0.277 0.203 K
0.750 0.223 0.703 K
0.250 0.777 0.297 K
0.250 0.749 0.560 Sm
0.750 0.251 0.440 Sm
0.250 0.249 0.940 Sm
0.750 0.751 0.060 Sm
0.250 0.909 0.692 F
0.750 0.091 0.308 F
0.250 0.409 0.808 F
0.750 0.591 0.192 F
0.750 0.604 0.633 F
0.250 0.396 0.367 F
0.750 0.104 0.867 F
0.250 0.896 0.133 F
0.750 0.636 0.463 F
0.250 0.364 0.537 F
0.750 0.136 0.037 F
0.250 0.864 0.963 F
0.250 0.495 0.058 F
0.750 0.505 0.942 F
0.250 0.995 0.442 F
0.750 0.005 0.558 F
```